! GGA+U ZnW36O98, relaxed; values from VASP
! Magnetization, μB per atom: 0.15
! Calculated formation energy, eV per atom: -2.129
! SG: No. 8
&SYSTEM
  ibrav = 0, nat = 135, ntyp = 3
/
ATOMIC_SPECIES
Zn 65.41 Zn.upf
W 183.84 W.upf
O 16.00 O.upf
CELL_PARAMETERS angstrom
3.866 14.246 0.000
-3.866 14.246 0.000
0.000 7.971 17.258
ATOMIC_POSITIONS crystal
Zn 0.191 0.191 0.597
W 0.320 0.821 0.357
W 0.821 0.320 0.357
W 0.180 0.680 0.643
W 0.680 0.180 0.643
W 0.466 0.966 0.221
W 0.966 0.466 0.221
W 0.034 0.534 0.781
W 0.534 0.034 0.781
W 0.611 0.111 0.084
W 0.111 0.611 0.084
W 0.889 0.388 0.918
W 0.388 0.889 0.918
W 0.124 0.624 0.277
W 0.624 0.124 0.277
W 0.378 0.871 0.726
W 0.871 0.378 0.726
W 0.246 0.746 0.258
W 0.746 0.246 0.258
W 0.254 0.754 0.741
W 0.754 0.254 0.741
W 0.169 0.669 0.449
W 0.669 0.169 0.449
W 0.332 0.831 0.551
W 0.831 0.332 0.551
W 0.480 0.979 0.415
W 0.979 0.480 0.415
W 0.018 0.528 0.585
W 0.528 0.018 0.585
W 0.372 0.872 0.128
W 0.872 0.372 0.128
W 0.128 0.628 0.873
W 0.628 0.128 0.873
W 0.249 0.749 0.083
W 0.749 0.249 0.083
W 0.250 0.750 0.918
W 0.750 0.250 0.918
O 0.296 0.796 0.138
O 0.796 0.296 0.138
O 0.204 0.704 0.861
O 0.704 0.204 0.861
O 0.532 0.032 0.144
O 0.032 0.532 0.144
O 0.968 0.468 0.857
O 0.468 0.968 0.857
O 0.558 0.058 0.354
O 0.058 0.558 0.354
O 0.955 0.428 0.639
O 0.428 0.955 0.639
O 0.499 0.499 0.082
O 0.998 0.998 0.082
O 0.501 0.501 0.918
O 0.001 0.001 0.919
O 0.312 0.815 0.458
O 0.815 0.312 0.458
O 0.187 0.687 0.542
O 0.687 0.187 0.542
O 0.611 0.111 0.190
O 0.111 0.611 0.190
O 0.893 0.386 0.811
O 0.386 0.893 0.811
O 0.619 0.619 0.131
O 0.119 0.119 0.131
O 0.382 0.382 0.869
O 0.882 0.882 0.869
O 0.495 0.495 0.257
O 0.995 0.995 0.257
O 0.504 0.504 0.742
O 0.005 0.005 0.741
O 0.321 0.821 0.244
O 0.821 0.321 0.244
O 0.179 0.679 0.755
O 0.679 0.179 0.755
O 0.167 0.667 0.340
O 0.667 0.167 0.340
O 0.337 0.827 0.662
O 0.827 0.337 0.662
O 0.394 0.894 0.021
O 0.894 0.394 0.021
O 0.106 0.606 0.979
O 0.606 0.106 0.979
O 0.430 0.930 0.149
O 0.930 0.430 0.149
O 0.070 0.570 0.852
O 0.570 0.070 0.852
O 0.377 0.377 0.278
O 0.877 0.877 0.278
O 0.626 0.626 0.722
O 0.124 0.124 0.715
O 0.480 0.979 0.312
O 0.979 0.480 0.312
O 0.018 0.523 0.686
O 0.523 0.018 0.686
O 0.863 0.863 0.081
O 0.363 0.363 0.081
O 0.137 0.137 0.919
O 0.637 0.637 0.919
O 0.246 0.746 0.367
O 0.746 0.246 0.367
O 0.255 0.755 0.630
O 0.755 0.255 0.630
O 0.712 0.712 0.223
O 0.212 0.212 0.223
O 0.288 0.288 0.777
O 0.788 0.788 0.777
O 0.391 0.890 0.304
O 0.890 0.391 0.304
O 0.110 0.609 0.696
O 0.609 0.110 0.696
O 0.494 0.008 0.499
O 0.008 0.494 0.499
O 0.090 0.595 0.524
O 0.595 0.090 0.524
O 0.408 0.909 0.478
O 0.909 0.408 0.478
O 0.697 0.197 0.032
O 0.197 0.697 0.032
O 0.803 0.303 0.969
O 0.303 0.803 0.969
O 0.565 0.565 0.357
O 0.065 0.065 0.356
O 0.435 0.435 0.643
O 0.935 0.935 0.643
O 0.202 0.701 0.198
O 0.701 0.202 0.198
O 0.297 0.798 0.803
O 0.798 0.297 0.803
O 0.731 0.731 0.413
O 0.230 0.230 0.414
O 0.268 0.268 0.587
O 0.767 0.767 0.587
O 0.419 0.419 0.449
O 0.919 0.919 0.448
O 0.582 0.582 0.551
O 0.083 0.083 0.553

=====

! GGA+U MgV2O4, relaxed; values from VASP
! Magnetization, μB per atom: 0.57
! Calculated formation energy, eV per atom: -2.528
! SG: No. 74
&SYSTEM
  ibrav = 0, nat = 14, ntyp = 3
/
ATOMIC_SPECIES
Mg 24.30 Mg.upf
V 50.94 V.upf
O 16.00 O.upf
CELL_PARAMETERS angstrom
-3.009 3.038 4.200
3.009 -3.038 4.200
3.009 3.038 -4.200
ATOMIC_POSITIONS crystal
Mg 0.500 0.500 0.000
Mg 0.000 0.500 0.500
V 0.000 0.000 0.500
V 0.500 0.000 0.500
V 0.000 0.500 0.000
V 0.000 0.000 0.000
O 0.214 0.244 0.969
O 0.756 0.759 0.503
O 0.775 0.244 0.531
O 0.244 0.747 0.003
O 0.225 0.756 0.469
O 0.244 0.241 0.497
O 0.756 0.253 0.997
O 0.786 0.756 0.031

=====

! GGA+U BaMgZnFe4O8, relaxed; values from VASP
! Magnetization, μB per atom: 1.20
! Calculated formation energy, eV per atom: -1.729
! SG: No. 5
&SYSTEM
  ibrav = 0, nat = 15, ntyp = 5
/
ATOMIC_SPECIES
Ba 137.33 Ba.upf
Mg 24.30 Mg.upf
Zn 65.41 Zn.upf
Fe 55.84 Fe.upf
O 16.00 O.upf
CELL_PARAMETERS angstrom
-4.044 -2.893 -2.047
4.817 -2.062 0.460
-1.772 -2.630 7.582
ATOMIC_POSITIONS crystal
Ba 0.990 0.980 0.000
Mg 0.673 0.347 0.500
Zn 0.998 0.996 0.500
Fe 0.321 0.674 0.746
Fe 0.608 0.286 0.793
Fe 0.353 0.674 0.254
Fe 0.678 0.286 0.207
O 0.319 0.322 0.666
O 0.661 0.004 0.656
O 0.974 0.649 0.663
O 0.675 0.649 0.337
O 0.003 0.322 0.334
O 0.343 0.004 0.344
O 0.355 0.710 0.000
O 0.712 0.424 0.000

=====

! GGA+U V4O3F9, relaxed; values from VASP
! Calculated formation energy, eV per atom: -2.949
! SG: No. 1
&SYSTEM
  ibrav = 0, nat = 32, ntyp = 3
/
ATOMIC_SPECIES
V 50.94 V.upf
O 16.00 O.upf
F 19.00 F.upf
CELL_PARAMETERS angstrom
-2.728 4.224 1.463
4.944 0.711 -2.024
-6.235 -1.348 -16.216
ATOMIC_POSITIONS crystal
V 0.751 0.368 0.125
V 0.748 0.913 0.622
V 0.513 0.720 0.248
V 0.513 0.249 0.748
V 0.250 0.089 0.379
V 0.244 0.644 0.882
V 0.989 0.014 0.002
V 0.998 0.499 0.500
O 0.790 0.177 0.565
O 0.849 0.199 0.041
O 0.171 0.789 0.956
O 0.656 0.540 0.209
O 0.655 0.065 0.709
O 0.208 0.822 0.435
F 0.328 0.148 0.085
F 0.777 0.678 0.059
F 0.722 0.058 0.190
F 0.332 0.950 0.288
F 0.323 0.667 0.587
F 0.335 0.463 0.793
F 0.174 0.591 0.165
F 0.169 0.095 0.665
F 0.181 0.297 0.460
F 0.285 0.426 0.315
F 0.713 0.585 0.688
F 0.826 0.914 0.337
F 0.819 0.703 0.541
F 0.827 0.409 0.838
F 0.675 0.331 0.413
F 0.272 0.936 0.810
F 0.232 0.316 0.937
F 0.676 0.843 0.911

=====

! GGA+U K2Gd2MgMo4O16, relaxed; values from VASP
! Magnetization, μB per atom: 0.56
! Calculated formation energy, eV per atom: -2.436
! SG: No. 1
&SYSTEM
  ibrav = 0, nat = 25, ntyp = 5
/
ATOMIC_SPECIES
K 39.10 K.upf
Gd 157.25 Gd.upf
Mg 24.30 Mg.upf
Mo 95.94 Mo.upf
O 16.00 O.upf
CELL_PARAMETERS angstrom
-4.134 -5.086 3.684
4.736 -5.517 -3.610
3.942 5.033 4.205
ATOMIC_POSITIONS crystal
K 0.419 0.157 0.225
K 0.563 0.795 0.747
Gd 0.019 0.834 0.282
Gd 0.964 0.153 0.705
Mg 0.138 0.541 0.052
Mo 0.944 0.319 0.269
Mo 0.049 0.685 0.723
Mo 0.562 0.670 0.241
Mo 0.469 0.324 0.770
O 0.668 0.250 0.079
O 0.325 0.751 0.915
O 0.685 0.607 0.455
O 0.349 0.399 0.568
O 0.759 0.916 0.358
O 0.250 0.102 0.638
O 0.037 0.335 0.083
O 0.958 0.676 0.928
O 0.047 0.615 0.429
O 0.955 0.386 0.554
O 0.669 0.576 0.030
O 0.326 0.422 0.970
O 0.982 0.092 0.228
O 0.023 0.935 0.791
O 0.358 0.769 0.315
O 0.645 0.225 0.694

=====

! GGA+U Fe5P4H6O20, relaxed; values from VASP
! Magnetization, μB per atom: 0.69
! Calculated formation energy, eV per atom: -1.971
! SG: No. 15
&SYSTEM
  ibrav = 0, nat = 70, ntyp = 4
/
ATOMIC_SPECIES
Fe 55.84 Fe.upf
P 30.97 P.upf
H 1.01 H.upf
O 16.00 O.upf
CELL_PARAMETERS angstrom
5.560 -2.682 7.760
7.873 -6.026 -0.131
6.317 6.682 -0.980
ATOMIC_POSITIONS crystal
Fe 0.104 0.896 0.750
Fe 0.896 0.104 0.250
Fe 0.762 0.613 0.683
Fe 0.387 0.238 0.817
Fe 0.238 0.387 0.317
Fe 0.613 0.762 0.183
Fe 0.152 0.179 0.614
Fe 0.821 0.848 0.886
Fe 0.848 0.821 0.386
Fe 0.179 0.152 0.114
P 0.884 0.278 0.890
P 0.722 0.116 0.610
P 0.116 0.722 0.110
P 0.278 0.884 0.390
P 0.412 0.899 0.858
P 0.101 0.588 0.642
P 0.588 0.101 0.142
P 0.899 0.412 0.358
H 0.626 0.458 0.628
H 0.542 0.374 0.872
H 0.374 0.542 0.372
H 0.458 0.626 0.128
H 0.488 0.645 0.706
H 0.355 0.512 0.794
H 0.512 0.355 0.294
H 0.645 0.488 0.206
H 0.402 0.170 0.521
H 0.830 0.598 0.979
H 0.598 0.830 0.479
H 0.170 0.402 0.021
O 0.336 0.813 0.820
O 0.187 0.664 0.680
O 0.664 0.187 0.180
O 0.813 0.336 0.320
O 0.013 0.150 0.771
O 0.850 0.987 0.729
O 0.987 0.850 0.229
O 0.150 0.013 0.271
O 0.721 0.301 0.906
O 0.699 0.279 0.594
O 0.279 0.699 0.094
O 0.301 0.721 0.406
O 0.978 0.200 0.038
O 0.800 0.022 0.462
O 0.022 0.800 0.962
O 0.200 0.978 0.538
O 0.870 0.443 0.845
O 0.557 0.130 0.655
O 0.130 0.557 0.155
O 0.443 0.870 0.345
O 0.390 0.937 0.024
O 0.063 0.610 0.476
O 0.610 0.063 0.976
O 0.937 0.390 0.524
O 0.593 0.576 0.643
O 0.424 0.407 0.857
O 0.407 0.424 0.357
O 0.576 0.593 0.143
O 0.327 0.076 0.771
O 0.924 0.673 0.729
O 0.673 0.924 0.229
O 0.076 0.327 0.271
O 0.299 0.206 0.474
O 0.794 0.701 0.026
O 0.701 0.794 0.526
O 0.206 0.299 0.974
O 0.602 0.793 0.815
O 0.207 0.398 0.685
O 0.398 0.207 0.185
O 0.793 0.602 0.315

=====

Question: Which value of calculated formation energy does entry 3 give?
Answer: -1.729 eV per atom

=====

Question: The lowest calculated formation energy belongs to which entry?
Answer: V4O3F9

=====

Repeat the second record exactly.
! GGA+U MgV2O4, relaxed; values from VASP
! Magnetization, μB per atom: 0.57
! Calculated formation energy, eV per atom: -2.528
! SG: No. 74
&SYSTEM
  ibrav = 0, nat = 14, ntyp = 3
/
ATOMIC_SPECIES
Mg 24.30 Mg.upf
V 50.94 V.upf
O 16.00 O.upf
CELL_PARAMETERS angstrom
-3.009 3.038 4.200
3.009 -3.038 4.200
3.009 3.038 -4.200
ATOMIC_POSITIONS crystal
Mg 0.500 0.500 0.000
Mg 0.000 0.500 0.500
V 0.000 0.000 0.500
V 0.500 0.000 0.500
V 0.000 0.500 0.000
V 0.000 0.000 0.000
O 0.214 0.244 0.969
O 0.756 0.759 0.503
O 0.775 0.244 0.531
O 0.244 0.747 0.003
O 0.225 0.756 0.469
O 0.244 0.241 0.497
O 0.756 0.253 0.997
O 0.786 0.756 0.031

=====

Question: Among the records above, which one has the highest calculated formation energy?
Answer: BaMgZnFe4O8